[1]
# GGA-PBE Nd3Cd2Si3O13, relaxed
data_Nd3Cd2Si3O13
_chemical_formula_sum 'Nd6 Cd4 Si6 O26'
_space_group_name_H-M_alt 'P 1'
_space_group_IT_number 1
_space_group_name_Hall 'P 1'
_cell_length_a 9.649
_cell_length_b 9.649
_cell_length_c 7.010
_cell_angle_alpha 90.00
_cell_angle_beta 90.00
_cell_angle_gamma 120.00
loop_
_atom_site_label
_atom_site_fract_x
_atom_site_fract_y
_atom_site_fract_z
O1 0.247 0.915 0.433
O2 0.874 0.405 0.750
O3 0.332 0.247 0.567
O4 0.000 0.000 0.250
O5 0.332 0.247 0.933
O6 0.915 0.668 0.567
O7 0.831 0.316 0.250
O8 0.668 0.753 0.433
O9 0.515 0.831 0.750
O10 0.668 0.753 0.067
O11 0.485 0.169 0.250
O12 0.469 0.874 0.250
O13 0.126 0.595 0.250
O14 0.405 0.531 0.250
O15 0.753 0.085 0.933
O16 0.085 0.332 0.433
O17 0.247 0.915 0.067
O18 0.531 0.126 0.750
O19 0.595 0.469 0.750
O20 0.000 0.000 0.750
O21 0.753 0.085 0.567
O22 0.316 0.485 0.750
O23 0.915 0.668 0.933
O24 0.684 0.515 0.250
O25 0.085 0.332 0.067
O26 0.169 0.684 0.750
Cd1 0.667 0.333 0.005
Cd2 0.667 0.333 0.495
Cd3 0.333 0.667 0.995
Cd4 0.333 0.667 0.505
Nd1 0.239 0.990 0.750
Nd2 0.010 0.249 0.750
Nd3 0.990 0.751 0.250
Nd4 0.761 0.010 0.250
Nd5 0.751 0.761 0.750
Nd6 0.249 0.239 0.250
Si1 0.973 0.601 0.750
Si2 0.399 0.371 0.750
Si3 0.371 0.973 0.250
Si4 0.027 0.399 0.250
Si5 0.601 0.629 0.250
Si6 0.629 0.027 0.750
# MP2020-corrected energy = -7.669 eV/atom
# SG = P6_3/m

***

[2]
# GGA-PBE KTiF4, relaxed
data_KTiF4
_chemical_formula_sum 'K2 Ti2 F8'
_space_group_name_H-M_alt 'P 1'
_space_group_IT_number 1
_space_group_name_Hall 'P 1'
_cell_length_a 4.012
_cell_length_b 7.833
_cell_length_c 12.438
_cell_angle_alpha 142.30
_cell_angle_beta 89.29
_cell_angle_gamma 75.76
loop_
_atom_site_label
_atom_site_fract_x
_atom_site_fract_y
_atom_site_fract_z
Ti1 0.805 0.880 0.691
Ti2 0.185 0.120 0.311
K1 0.999 0.499 0.807
K2 0.987 0.501 0.192
F1 0.691 0.108 0.305
F2 0.676 0.143 0.699
F3 0.311 0.858 0.304
F4 0.320 0.854 0.054
F5 0.990 0.500 0.600
F6 0.667 0.145 0.947
F7 0.299 0.892 0.698
F8 0.004 0.500 0.401
# MP2020-corrected energy = -6.257 eV/atom
# energy relative to the lowest polymorph listed for this composition = 19 meV/atom
# SG = P1

***

[3]
# GGA-PBE K2TaHgF6, relaxed
data_K2TaHgF6
_chemical_formula_sum 'K2 Ta1 Hg1 F6'
_space_group_name_H-M_alt 'P 1'
_space_group_IT_number 1
_space_group_name_Hall 'P 1'
_cell_length_a 6.995
_cell_length_b 6.995
_cell_length_c 6.995
_cell_angle_alpha 60.00
_cell_angle_beta 60.00
_cell_angle_gamma 60.00
loop_
_atom_site_label
_atom_site_fract_x
_atom_site_fract_y
_atom_site_fract_z
F1 0.201 0.201 0.799
F2 0.201 0.799 0.201
F3 0.201 0.799 0.799
F4 0.799 0.201 0.799
F5 0.799 0.799 0.201
F6 0.799 0.201 0.201
K1 0.250 0.250 0.250
K2 0.750 0.750 0.750
Ta1 0.000 0.000 0.000
Hg1 0.500 0.500 0.500
# MP2020-corrected energy = -5.364 eV/atom
# SG = Fm-3m

***

[4]
# GGA-PBE LaCe3, relaxed
data_LaCe3
_chemical_formula_sum 'La1 Ce3'
_space_group_name_H-M_alt 'P 1'
_space_group_IT_number 1
_space_group_name_Hall 'P 1'
_cell_length_a 5.911
_cell_length_b 5.911
_cell_length_c 5.911
_cell_angle_alpha 132.17
_cell_angle_beta 132.17
_cell_angle_gamma 69.96
loop_
_atom_site_label
_atom_site_fract_x
_atom_site_fract_y
_atom_site_fract_z
La1 0.000 0.000 0.000
Ce1 0.500 0.500 0.000
Ce2 0.250 0.750 0.500
Ce3 0.750 0.250 0.500
# SG = I4/mmm

***

[5]
# GGA-PBE NbSiAs, relaxed
data_NbSiAs
_chemical_formula_sum 'Nb2 Si2 As2'
_space_group_name_H-M_alt 'P 1'
_space_group_IT_number 1
_space_group_name_Hall 'P 1'
_cell_length_a 3.517
_cell_length_b 3.517
_cell_length_c 7.970
_cell_angle_alpha 90.00
_cell_angle_beta 90.00
_cell_angle_gamma 90.00
loop_
_atom_site_label
_atom_site_fract_x
_atom_site_fract_y
_atom_site_fract_z
Nb1 0.500 0.000 0.254
Nb2 0.000 0.500 0.746
As1 0.000 0.500 0.389
As2 0.500 0.000 0.611
Si1 0.000 0.000 0.000
Si2 0.500 0.500 0.000
# SG = P4/nmm

***

[6]
# GGA-PBE Nb3WSe8, relaxed
data_Nb3WSe8
_chemical_formula_sum 'Nb3 W1 Se8'
_space_group_name_H-M_alt 'P 1'
_space_group_IT_number 1
_space_group_name_Hall 'P 1'
_cell_length_a 6.944
_cell_length_b 6.944
_cell_length_c 11.961
_cell_angle_alpha 81.71
_cell_angle_beta 81.71
_cell_angle_gamma 28.72
loop_
_atom_site_label
_atom_site_fract_x
_atom_site_fract_y
_atom_site_fract_z
Se1 0.626 0.626 0.565
Se2 0.872 0.872 0.355
Se3 0.373 0.373 0.607
Se4 0.125 0.125 0.809
Se5 0.875 0.875 0.851
Se6 0.627 0.627 0.062
Se7 0.372 0.372 0.104
Se8 0.127 0.127 0.313
Nb1 0.000 0.000 0.998
Nb2 0.500 0.500 0.250
Nb3 0.000 0.000 0.503
W1 0.500 0.500 0.749
# MP2020-corrected energy = -7.013 eV/atom
# energy relative to the lowest polymorph listed for this composition = 12 meV/atom
# SG = Cm

***

[7]
# GGA-PBE NaCdSb, relaxed
data_NaCdSb
_chemical_formula_sum 'Na4 Cd4 Sb4'
_space_group_name_H-M_alt 'P 1'
_space_group_IT_number 1
_space_group_name_Hall 'P 1'
_cell_length_a 4.790
_cell_length_b 8.086
_cell_length_c 8.629
_cell_angle_alpha 90.00
_cell_angle_beta 90.00
_cell_angle_gamma 90.00
loop_
_atom_site_label
_atom_site_fract_x
_atom_site_fract_y
_atom_site_fract_z
Na1 0.750 0.485 0.678
Na2 0.250 0.515 0.322
Na3 0.250 0.015 0.178
Na4 0.750 0.985 0.822
Sb1 0.750 0.223 0.394
Sb2 0.250 0.777 0.606
Sb3 0.250 0.277 0.894
Sb4 0.750 0.723 0.106
Cd1 0.250 0.650 0.924
Cd2 0.250 0.150 0.576
Cd3 0.750 0.850 0.424
Cd4 0.750 0.350 0.076
# MP2020-corrected energy = -2.514 eV/atom
# SG = Pnma

***

[8]
# GGA-PBE NdAlGa, relaxed
data_NdAlGa
_chemical_formula_sum 'Nd1 Al1 Ga1'
_space_group_name_H-M_alt 'P 1'
_space_group_IT_number 1
_space_group_name_Hall 'P 1'
_cell_length_a 4.227
_cell_length_b 4.358
_cell_length_c 4.358
_cell_angle_alpha 60.01
_cell_angle_beta 90.00
_cell_angle_gamma 90.00
loop_
_atom_site_label
_atom_site_fract_x
_atom_site_fract_y
_atom_site_fract_z
Nd1 0.000 0.000 0.000
Ga1 0.500 0.667 0.667
Al1 0.500 0.333 0.333
# SG = P-6m2

***

Formation energy per entry: -3062; -3479; -2777; 66; -593; -1077; -389; -596 meV per atom